No. 1
# MgCo4Ag4O8 GGA+U optimized geometry
data_MgCo4Ag4O8
_space_group_name_H-M_alt 'C 1 m 1'
_space_group_IT_number 8
_space_group_name_Hall 'C -2y'
_cell_length_a 5.292
_cell_length_b 3.074
_cell_length_c 26.713
_cell_angle_alpha 90.00
_cell_angle_beta 90.23
_cell_angle_gamma 90.00
loop_
_atom_site_label
_atom_site_type_symbol
_atom_site_fract_x
_atom_site_fract_y
_atom_site_fract_z
Mg1 Mg 0.000 0.000 0.000
Co1 Co 0.163 0.500 0.906
Co2 Co 0.164 0.500 0.214
Co3 Co 0.331 0.000 0.446
Co4 Co 0.331 0.000 0.679
Ag1 Ag 0.165 0.500 0.563
Ag2 Ag 0.334 0.000 0.093
Ag3 Ag 0.493 0.500 0.330
Ag4 Ag 0.497 0.500 0.795
O1 O 0.165 0.500 0.484
O2 O 0.165 0.500 0.642
O3 O 0.334 0.000 0.967
O4 O 0.338 0.000 0.177
O5 O 0.494 0.500 0.252
O6 O 0.496 0.500 0.875
O7 O 0.497 0.500 0.409
O8 O 0.498 0.500 0.717
# - DFT formation energy: -16.83 eV/f.u.
# - Energy above the lowest structure with this stoichiometry: 12 meV per atom
# - VASP energy: -5.043 eV/atom

---

No. 2
# Li3NiPCO7 GGA+U optimized geometry
data_Li3NiPCO7
_space_group_name_H-M_alt 'P 1 21/c 1'
_space_group_IT_number 14
_space_group_name_Hall '-P 2ybc'
_cell_length_a 9.412
_cell_length_b 6.329
_cell_length_c 9.744
_cell_angle_alpha 90.00
_cell_angle_beta 116.03
_cell_angle_gamma 90.00
loop_
_atom_site_label
_atom_site_type_symbol
_atom_site_fract_x
_atom_site_fract_y
_atom_site_fract_z
Li1 Li 0.100 0.250 0.183
Li2 Li 0.278 0.009 0.009
Li3 Li 0.348 0.748 0.314
Ni1 Ni 0.274 0.009 0.512
P1 P 0.409 0.248 0.815
C1 C 0.039 0.740 0.122
O1 O 0.069 0.749 0.762
O2 O 0.110 0.235 0.485
O3 O 0.149 0.740 0.076
O4 O 0.309 0.059 0.320
O5 O 0.316 0.054 0.824
O6 O 0.419 0.244 0.659
O7 O 0.420 0.741 0.055
# - DFT formation energy: -29.26 eV/f.u.
# - Energy above the lowest structure with this stoichiometry: 43 meV per atom
# - VASP energy: -6.361 eV/atom

---

No. 3
# Mn5Fe4O12 GGA+U optimized geometry
data_Mn5Fe4O12
_space_group_name_H-M_alt 'P 1'
_space_group_IT_number 1
_space_group_name_Hall 'P 1'
_cell_length_a 6.111
_cell_length_b 6.127
_cell_length_c 13.682
_cell_angle_alpha 102.42
_cell_angle_beta 102.60
_cell_angle_gamma 90.32
loop_
_atom_site_label
_atom_site_type_symbol
_atom_site_fract_x
_atom_site_fract_y
_atom_site_fract_z
Mn1 Mn 0.000 0.000 0.000
Mn2 Mn 0.005 0.000 0.502
Mn3 Mn 0.117 0.878 0.749
Mn4 Mn 0.206 0.459 0.918
Mn5 Mn 0.463 0.209 0.419
Mn6 Mn 0.555 0.795 0.584
Mn7 Mn 0.670 0.667 0.333
Mn8 Mn 0.795 0.546 0.085
Mn9 Mn 0.836 0.337 0.668
Mn10 Mn 0.876 0.123 0.249
Fe1 Fe 0.005 0.502 0.502
Fe2 Fe 0.173 0.664 0.334
Fe3 Fe 0.335 0.334 0.167
Fe4 Fe 0.336 0.336 0.668
Fe5 Fe 0.337 0.830 0.167
Fe6 Fe 0.499 0.005 0.002
Fe7 Fe 0.667 0.669 0.833
Fe8 Fe 0.668 0.171 0.834
O1 O 0.064 0.109 0.661
O2 O 0.067 0.556 0.660
O3 O 0.095 0.070 0.150
O4 O 0.110 0.607 0.181
O5 O 0.216 0.244 0.502
O6 O 0.233 0.733 0.493
O7 O 0.241 0.212 0.999
O8 O 0.243 0.784 0.006
O9 O 0.424 0.450 0.333
O10 O 0.426 0.885 0.326
O11 O 0.450 0.922 0.840
O12 O 0.453 0.419 0.835
O13 O 0.557 0.592 0.168
O14 O 0.559 0.063 0.153
O15 O 0.609 0.568 0.678
O16 O 0.610 0.115 0.678
O17 O 0.753 0.778 0.990
O18 O 0.756 0.217 0.992
O19 O 0.775 0.271 0.518
O20 O 0.795 0.759 0.499
O21 O 0.890 0.414 0.821
O22 O 0.900 0.927 0.848
O23 O 0.914 0.450 0.343
O24 O 0.924 0.894 0.343
# - DFT formation energy: -38.55 eV/f.u.
# - Energy above the lowest structure with this stoichiometry: 23 meV per atom
# - VASP energy: -7.238 eV/atom